! MgFe4Ni2O8 (PBE with a Hubbard U, optimized geometry); values from VASP
&SYSTEM
  ibrav = 0, nat = 15, ntyp = 4
/
ATOMIC_SPECIES
Mg 24.30 Mg.upf
Fe 55.84 Fe.upf
Ni 58.69 Ni.upf
O 16.00 O.upf
ATOMIC_POSITIONS angstrom
Mg 0.000 0.000 0.000
Fe 3.044 1.372 0.651
Fe 0.000 0.000 2.668
Fe 3.044 0.000 3.526
Fe 0.000 1.824 4.938
Ni -1.389 3.196 2.330
Ni 1.389 3.196 2.330
O 3.044 -1.856 2.749
O 3.044 1.273 -1.353
O 1.595 0.000 1.083
O 4.493 0.000 1.083
O 1.604 3.196 0.338
O 1.440 0.000 4.625
O 3.044 1.856 2.749
O 0.000 1.923 2.934
CELL_PARAMETERS angstrom
-3.044 3.196 4.288
3.044 -3.196 4.288
3.044 3.196 -4.288
! Crystal system: orthorhombic
! Mass density: 4.91 Mg/m³
! SG: No. 44
! Formation energy from the elements: -1.463 eV/atom

! MgFe4Ni2O8 (PBE with a Hubbard U, optimized geometry); values from VASP
&SYSTEM
  ibrav = 0, nat = 15, ntyp = 4
/
ATOMIC_SPECIES
Mg 24.30 Mg.upf
Fe 55.84 Fe.upf
Ni 58.69 Ni.upf
O 16.00 O.upf
ATOMIC_POSITIONS angstrom
Mg 0.000 0.000 0.000
Fe 0.335 1.277 4.007
Fe 2.179 0.000 1.489
Fe 0.335 -1.277 4.007
Fe 8.746 0.000 2.181
Ni 3.601 0.000 4.412
Ni 5.421 0.000 1.741
O 4.318 1.383 2.941
O 3.785 0.000 0.430
O 1.785 0.000 3.372
O 6.618 1.481 0.736
O 4.318 -1.383 2.941
O 9.094 0.000 0.190
O 7.024 0.000 3.241
O 6.618 -1.481 0.736
CELL_PARAMETERS angstrom
5.542 -2.932 0.000
5.542 2.932 0.000
-3.503 0.000 5.159
! Crystal system: monoclinic
! Mass density: 4.88 Mg/m³
! SG: No. 8
! Formation energy from the elements: -1.429 eV/atom

! MgFe7Ni6O16 (PBE with a Hubbard U, optimized geometry); values from VASP
&SYSTEM
  ibrav = 0, nat = 30, ntyp = 4
/
ATOMIC_SPECIES
Mg 24.30 Mg.upf
Fe 55.84 Fe.upf
Ni 58.69 Ni.upf
O 16.00 O.upf
ATOMIC_POSITIONS angstrom
Mg 0.000 0.000 0.000
Fe 2.760 1.488 5.352
Fe 4.270 1.241 0.623
Fe 0.064 0.000 7.069
Fe 4.270 -1.241 0.623
Fe 3.594 0.000 8.466
Fe 2.760 -1.488 5.352
Fe 7.192 0.000 7.454
Ni 2.118 0.000 0.588
Ni 3.597 0.000 3.039
Ni 6.275 1.540 3.003
Ni 5.317 0.000 5.343
Ni 6.275 -1.540 3.003
Ni 8.950 0.000 3.018
O -1.812 0.000 6.478
O 1.028 1.600 6.509
O 0.088 0.000 1.893
O 2.711 1.479 1.835
O 2.689 1.637 9.035
O 0.030 0.000 8.998
O 4.419 1.481 4.171
O 1.946 0.000 4.230
O 2.711 -1.479 1.835
O 3.587 0.000 6.525
O 5.341 0.000 1.833
O 1.028 -1.600 6.509
O 4.419 -1.481 4.171
O 5.449 0.000 9.004
O 7.185 0.000 4.188
O 2.689 -1.637 9.035
CELL_PARAMETERS angstrom
5.335 -3.089 0.000
5.335 3.089 0.000
-3.540 0.000 9.841
! Crystal system: monoclinic
! Mass density: 5.24 Mg/m³
! SG: No. 8
! Formation energy from the elements: -1.107 eV/atom

! MgFe7Ni6O16 (PBE with a Hubbard U, optimized geometry); values from VASP
&SYSTEM
  ibrav = 0, nat = 30, ntyp = 4
/
ATOMIC_SPECIES
Mg 24.30 Mg.upf
Fe 55.84 Fe.upf
Ni 58.69 Ni.upf
O 16.00 O.upf
ATOMIC_POSITIONS angstrom
Mg 0.000 0.000 0.000
Fe 4.346 4.334 2.502
Fe 2.823 1.664 2.291
Fe 4.348 2.562 7.594
Fe 4.518 2.627 0.000
Fe 7.336 4.286 2.261
Fe 8.862 5.183 7.565
Fe 7.338 2.514 7.354
Ni 1.324 0.797 4.928
Ni 2.820 3.424 4.928
Ni 5.807 5.181 7.343
Ni 4.347 0.797 4.928
Ni 5.842 3.424 4.928
Ni 5.878 1.666 2.512
O 1.274 0.712 1.461
O 2.910 3.564 1.324
O 2.838 1.704 6.112
O 4.337 4.233 6.140
O 4.301 2.552 3.709
O 7.185 6.099 8.551
O 5.848 5.129 3.720
O 5.904 3.429 8.407
O 5.781 3.419 1.449
O 5.836 1.718 6.136
O 4.499 0.749 1.305
O 7.383 4.295 6.147
O 7.347 2.615 3.716
O 8.847 5.144 3.744
O 8.775 3.284 8.532
O 10.411 6.135 8.395
CELL_PARAMETERS angstrom
6.045 0.000 0.000
2.991 5.254 0.000
2.649 1.593 9.856
! Crystal system: triclinic
! Mass density: 5.43 Mg/m³
! SG: No. 2
! Formation energy from the elements: -1.428 eV/atom

! MgFe4NiO8 (PBE with a Hubbard U, optimized geometry); values from VASP
&SYSTEM
  ibrav = 0, nat = 14, ntyp = 4
/
ATOMIC_SPECIES
Mg 24.30 Mg.upf
Fe 55.84 Fe.upf
Ni 58.69 Ni.upf
O 16.00 O.upf
ATOMIC_POSITIONS angstrom
Mg 0.000 0.000 0.000
Fe -1.538 -0.888 6.711
Fe 0.000 0.000 3.637
Fe 1.538 -0.888 6.711
Fe 0.000 1.776 6.711
Ni 0.000 0.000 9.204
O 0.000 -1.663 7.899
O -1.440 0.831 7.899
O 0.000 0.000 5.609
O -1.407 -0.812 10.499
O 1.440 0.831 7.899
O 0.000 0.000 12.731
O 1.407 -0.812 10.499
O 0.000 1.625 10.499
CELL_PARAMETERS angstrom
3.017 1.742 4.909
-3.017 1.742 4.909
0.000 -3.484 4.909
! Crystal system: trigonal
! Mass density: 4.66 Mg/m³
! SG: No. 160
! Formation energy from the elements: -1.799 eV/atom

! MgFe7Ni6O16 (PBE with a Hubbard U, optimized geometry); values from VASP
&SYSTEM
  ibrav = 0, nat = 30, ntyp = 4
/
ATOMIC_SPECIES
Mg 24.30 Mg.upf
Fe 55.84 Fe.upf
Ni 58.69 Ni.upf
O 16.00 O.upf
ATOMIC_POSITIONS angstrom
Mg 0.000 0.000 0.000
Fe 3.212 0.123 7.358
Fe -2.693 3.707 8.121
Fe -0.080 1.692 4.906
Fe -1.572 4.327 4.952
Fe -1.243 1.051 9.834
Fe 1.153 2.442 7.304
Fe 2.987 1.747 4.832
Ni 1.523 0.831 2.310
Ni -0.022 3.539 2.321
Ni 4.452 0.841 2.283
Ni 1.486 4.349 4.846
Ni 2.992 3.498 2.402
Ni 1.721 1.046 9.914
O -1.609 0.853 5.869
O -3.159 3.392 6.162
O -1.522 2.534 3.654
O -1.593 4.319 1.302
O -0.019 0.024 3.680
O 0.020 1.764 1.164
O -1.325 -0.682 8.706
O -2.782 1.866 8.701
O -0.001 3.452 5.928
O 1.511 0.931 5.948
O 1.476 2.566 3.676
O 3.008 0.037 3.583
O 1.545 4.306 1.231
O 2.958 1.844 1.219
O 0.210 1.917 8.879
O 1.852 -0.636 8.674
CELL_PARAMETERS angstrom
6.035 0.000 0.000
-3.002 5.249 0.000
-2.798 -1.606 9.940
! Crystal system: triclinic
! Mass density: 5.40 Mg/m³
! SG: No. 1
! Formation energy from the elements: -1.438 eV/atom

no.,calculated total energy (eV/atom)
1,-5.93
2,-5.90
3,-5.53
4,-5.85
5,-6.35
6,-5.86